Compound: SrEuFeWO6
Source: the Materials Project
Functional: PBE+U
Structure: relaxed

Summary:
Formation enthalpy at 0 K (eV/atom): -2.5477
Total DFT energy (no corrections) (eV/cell): -77.7
Calculated volume (Å³ per cell): 127
E (MP2020) (eV/atom): -8.85

a b c (Å): 5.6452 5.6452 5.6452
angles (deg): 60.00 60.00 60.00
Closest atoms and distances in Å follow each position.
Sites, in units of the cell vectors:
Sr  0.7500  0.7500  0.7500  12 O 2.82
O  0.2528  0.7472  0.2528  1 W 1.97, 1 Fe 2.02
O  0.2528  0.7472  0.7472  1 W 1.97, 1 Fe 2.02
Fe  0.0000  0.0000  0.0000  6 O 2.02
O  0.7472  0.7472  0.2528  1 W 1.97, 1 Fe 2.02
W  0.5000  0.5000  0.5000  6 O 1.97
O  0.2528  0.2528  0.7472  1 W 1.97, 1 Fe 2.02
O  0.7472  0.2528  0.7472  1 W 1.97, 1 Fe 2.02
Eu  0.2500  0.2500  0.2500  12 O 2.82
O  0.7472  0.2528  0.2528  1 W 1.97, 1 Fe 2.02